The following is a PBE calculation of an optimized crystal structure of MgTiZnBi2O6, from Materials Project.

Summary:
Mass density in g cm⁻³: 6.2
Space group: Cm
DFT formation energy in eV/atom: -2.140
E in eV/atom: -6.149
Energy above the most stable polymorph in this dataset in meV/atom: 7.7

Cell: 3.7882 3.7882 12.1387 Å, 91.40 91.40 89.39°
Fractional coordinates of all 11 atoms:
Mg 0.0000 0.0000 0.0000
Ti 0.5095 0.5095 0.1210
Zn 0.5222 0.5222 0.5544
Bi 0.0091 0.0091 0.3865
Bi 0.9876 0.9876 0.7487
O 0.0051 0.5053 0.0665
O 0.0190 0.5189 0.4841
O 0.5053 0.0051 0.0665
O 0.5189 0.0190 0.4841
O 0.5211 0.5211 0.2618
O 0.5690 0.5690 0.7215


The following is a PBE calculation of an optimized crystal structure of Cs2HgCl4, from Materials Project.

Summary:
Mass density in g cm⁻³: 3.7
Space group: Pnma
DFT formation energy in eV/atom: -1.766
E in eV/atom: -2.771
Energy above the most stable polymorph in this dataset in meV/atom: 4.0

Cell: 10.0486 7.8799 13.8899 Å, 90.00 90.00 90.00°
Fractional coordinates of all 28 atoms:
Cs 0.0138 0.2500 0.1773
Cs 0.1185 0.7500 0.4090
Cs 0.3815 0.2500 0.9090
Cs 0.4862 0.7500 0.6773
Cs 0.5138 0.2500 0.3227
Cs 0.6185 0.7500 0.0910
Cs 0.8815 0.2500 0.5910
Cs 0.9862 0.7500 0.8227
Hg 0.2153 0.7500 0.0768
Hg 0.2847 0.2500 0.5768
Hg 0.7153 0.7500 0.4232
Hg 0.7847 0.2500 0.9232
Cl 0.0330 0.2500 0.9170
Cl 0.1740 0.2500 0.4111
Cl 0.1829 0.5084 0.6580
Cl 0.1829 0.9916 0.6580
Cl 0.3171 0.0084 0.1580
Cl 0.3171 0.4916 0.1580
Cl 0.3260 0.7500 0.9111
Cl 0.4670 0.7500 0.4170
Cl 0.5330 0.2500 0.5830
Cl 0.6740 0.2500 0.0889
Cl 0.6829 0.5084 0.8420
Cl 0.6829 0.9916 0.8420
Cl 0.8171 0.0084 0.3420
Cl 0.8171 0.4916 0.3420
Cl 0.8260 0.7500 0.5889
Cl 0.9670 0.7500 0.0830